Entry 1:
DFT (PBE+U) results for crystalline Cs5BiMo4O16 at its relaxed geometry.

Unit cell a=13.752 b=13.752 c=10.706 alpha=83.88 beta=83.88 gamma=143.94
Positions (direct):
Cs: 0.190 0.564 0.453
Cs: 0.052 0.169 0.560
Cs: 0.947 0.827 0.449
Cs: 0.436 0.810 0.047
Cs: 0.827 0.947 0.949
Cs: 0.562 0.438 0.250
Cs: 0.169 0.052 0.060
Cs: 0.564 0.190 0.953
Cs: 0.438 0.562 0.750
Cs: 0.810 0.436 0.547
Bi: 0.806 0.194 0.250
Bi: 0.194 0.806 0.750
Mo: 0.792 0.649 0.858
Mo: 0.975 0.596 0.140
Mo: 0.596 0.975 0.640
Mo: 0.649 0.792 0.358
Mo: 0.404 0.025 0.360
Mo: 0.025 0.404 0.860
Mo: 0.351 0.208 0.642
Mo: 0.208 0.351 0.142
O: 0.744 0.863 0.488
O: 0.238 0.202 0.759
O: 0.782 0.424 0.101
O: 0.424 0.782 0.601
O: 0.011 0.511 0.230
O: 0.679 0.943 0.266
O: 0.511 0.011 0.730
O: 0.208 0.565 0.909
O: 0.048 0.327 0.759
O: 0.772 0.158 0.482
O: 0.158 0.772 0.982
O: 0.256 0.137 0.512
O: 0.425 0.577 0.430
O: 0.863 0.744 0.988
O: 0.421 0.576 0.081
O: 0.762 0.798 0.241
O: 0.565 0.208 0.409
O: 0.798 0.762 0.741
O: 0.202 0.238 0.259
O: 0.057 0.321 0.234
O: 0.327 0.048 0.259
O: 0.576 0.421 0.581
O: 0.137 0.256 0.012
O: 0.952 0.673 0.241
O: 0.943 0.679 0.766
O: 0.577 0.425 0.930
O: 0.228 0.842 0.518
O: 0.489 0.989 0.270
O: 0.830 0.214 0.020
O: 0.673 0.952 0.741
O: 0.321 0.057 0.734
O: 0.989 0.489 0.770

## Properties
- formation enthalpy at 0 K (eV/atom) = -2.1242
- crystal system = triclinic
- total magnetic moment (μB per atom) = 0.00


Entry 2:
DFT (PBE+U) results for crystalline Eu3MoO7 at its relaxed geometry.

Unit cell a=6.628 b=6.628 c=7.677 alpha=90.00 beta=90.00 gamma=111.41
Positions (direct):
Eu: 0.063 0.524 0.250
Eu: 0.937 0.476 0.750
Eu: 0.524 0.063 0.250
Eu: 0.476 0.937 0.750
Eu: 0.000 0.000 0.000
Eu: 0.000 0.000 0.500
Mo: 0.500 0.500 0.000
Mo: 0.500 0.500 0.500
O: 0.437 0.437 0.250
O: 0.563 0.563 0.750
O: 0.893 0.157 0.250
O: 0.107 0.843 0.750
O: 0.157 0.893 0.250
O: 0.843 0.107 0.750
O: 0.805 0.557 0.035
O: 0.195 0.443 0.965
O: 0.195 0.443 0.535
O: 0.557 0.805 0.465
O: 0.805 0.557 0.465
O: 0.443 0.195 0.535
O: 0.443 0.195 0.965
O: 0.557 0.805 0.035

## Properties
- formation enthalpy at 0 K (eV/atom) = -2.9247
- crystal system = orthorhombic
- total magnetic moment (μB per atom) = 1.73


Entry 3:
DFT (PBE+U) results for crystalline Cs2VP2O8 at its relaxed geometry.

Unit cell a=7.373 b=9.660 c=13.638 alpha=90.00 beta=90.00 gamma=90.00
Positions (direct):
Cs: 0.250 0.918 0.402
Cs: 0.750 0.082 0.598
Cs: 0.750 0.418 0.098
Cs: 0.250 0.582 0.902
Cs: 0.250 0.130 0.092
Cs: 0.750 0.870 0.908
Cs: 0.750 0.630 0.408
Cs: 0.250 0.370 0.592
V: 0.250 0.485 0.289
V: 0.750 0.515 0.711
V: 0.750 0.985 0.211
V: 0.250 0.015 0.789
P: 0.048 0.732 0.159
P: 0.548 0.268 0.841
P: 0.952 0.232 0.341
P: 0.452 0.768 0.659
P: 0.952 0.268 0.841
P: 0.452 0.732 0.159
P: 0.048 0.768 0.659
P: 0.548 0.232 0.341
O: 0.250 0.545 0.401
O: 0.750 0.455 0.599
O: 0.750 0.045 0.099
O: 0.250 0.955 0.901
O: 0.935 0.834 0.221
O: 0.435 0.166 0.779
O: 0.065 0.334 0.279
O: 0.565 0.666 0.721
O: 0.065 0.166 0.779
O: 0.565 0.834 0.221
O: 0.935 0.666 0.721
O: 0.435 0.334 0.279
O: 0.990 0.711 0.055
O: 0.490 0.289 0.945
O: 0.010 0.211 0.445
O: 0.510 0.789 0.555
O: 0.010 0.289 0.945
O: 0.510 0.711 0.055
O: 0.990 0.789 0.555
O: 0.490 0.211 0.445
O: 0.063 0.593 0.217
O: 0.563 0.407 0.783
O: 0.937 0.093 0.283
O: 0.437 0.907 0.717
O: 0.937 0.407 0.783
O: 0.437 0.593 0.217
O: 0.063 0.907 0.717
O: 0.563 0.093 0.283
O: 0.250 0.804 0.163
O: 0.750 0.196 0.837
O: 0.750 0.304 0.337
O: 0.250 0.696 0.663

## Properties
- formation enthalpy at 0 K (eV/atom) = -2.6758
- crystal system = orthorhombic
- total magnetic moment (μB per atom) = 0.08


> Among the records above, which one has the lowest formation enthalpy at 0 K?

Eu3MoO7


> formation enthalpy at 0 K of number 3 (Cs2VP2O8)?

-2.6758 eV/atom